No. 1
! ThCrO7 | Materials Project | PBE+U | relaxed; values from VASP
! ΔH_f (0 K)   -1754 meV per atom
! Total DFT energy (no corrections)   -6.92 eV/atom
! E (MP2020)   -0.551 Ry/atom
&SYSTEM
  ibrav = 0, nat = 18, ntyp = 3
/
ATOMIC_SPECIES
Th 232.04 Th.upf
Cr 52.00 Cr.upf
O 16.00 O.upf
ATOMIC_POSITIONS angstrom
Th 0.383 1.642 1.517
Th 3.758 4.927 5.599
Cr 0.396 4.927 3.796
Cr 3.744 1.642 3.321
O -1.186 4.927 4.312
O -2.055 3.297 6.957
O -2.055 6.558 6.957
O 0.681 3.575 2.878
O 0.681 6.279 2.878
O 0.642 1.642 5.369
O 1.420 4.927 5.110
O 2.721 1.642 2.006
O 3.498 4.927 1.747
O 3.460 0.290 4.238
O 3.460 2.995 4.238
O 6.196 0.012 0.159
O 6.196 3.273 0.159
O 5.327 1.642 2.805
CELL_PARAMETERS angstrom
6.923 0.000 0.000
0.000 6.569 0.000
-2.782 0.000 7.116

***

No. 2
! FeOF | Materials Project | PBE+U | relaxed; values from VASP
! ΔH_f (0 K)   -2022 meV per atom
! Total DFT energy (no corrections)   -6.00 eV/atom
! E (MP2020)   -0.524 Ry/atom
&SYSTEM
  ibrav = 0, nat = 36, ntyp = 3
/
ATOMIC_SPECIES
Fe 55.84 Fe.upf
O 16.00 O.upf
F 19.00 F.upf
ATOMIC_POSITIONS angstrom
Fe 0.000 0.000 0.000
Fe -0.047 0.000 9.476
Fe 1.940 1.554 11.906
Fe 2.032 1.554 2.345
Fe 2.139 1.554 7.296
Fe 4.470 0.000 0.316
Fe 4.507 0.000 9.341
Fe 4.686 0.000 4.750
Fe 6.697 1.554 7.140
Fe 6.818 1.554 2.474
Fe 6.823 1.554 11.959
Fe 9.279 0.000 4.543
O 0.623 1.554 8.541
O 0.690 1.554 3.846
O 0.673 1.554 13.374
O 1.216 0.000 1.493
O 1.201 0.000 10.981
O 3.039 0.000 8.068
O 3.594 1.554 1.055
O 5.401 1.554 3.857
O 5.462 1.554 8.676
O 5.954 0.000 6.256
O 6.018 0.000 1.502
O 7.802 0.000 3.261
F 1.187 0.000 6.180
F 3.041 0.000 3.421
F 3.075 0.000 12.863
F 3.521 1.554 5.694
F 3.576 1.554 10.508
F 5.333 1.554 13.445
F 5.848 0.000 11.038
F 7.768 0.000 12.905
F 7.815 0.000 8.096
F 8.303 1.554 10.443
F 8.371 1.554 0.871
F 8.349 1.554 5.718
CELL_PARAMETERS angstrom
9.504 0.000 0.000
0.000 3.108 0.000
-0.079 0.000 14.296

***

No. 3
! La24Ni12O49 | Materials Project | PBE+U | relaxed; values from VASP
! ΔH_f (0 K)   -3032 meV per atom
! Total DFT energy (no corrections)   -7.34 eV/atom
! E (MP2020)   -0.595 Ry/atom
&SYSTEM
  ibrav = 0, nat = 85, ntyp = 3
/
ATOMIC_SPECIES
La 138.91 La.upf
Ni 58.69 Ni.upf
O 16.00 O.upf
ATOMIC_POSITIONS angstrom
La 0.000 0.000 0.000
La 5.826 13.647 6.237
La 5.838 9.740 9.782
La 3.893 7.766 3.470
La 7.728 11.728 12.617
La 5.797 9.727 6.286
La 5.795 5.869 9.786
La 3.875 3.829 3.486
La 5.852 5.861 6.285
La 7.822 7.845 12.626
La 7.779 11.779 3.483
La 9.722 13.644 9.763
La 11.662 15.567 12.620
La 5.840 1.965 6.233
La 7.757 7.817 3.463
La 9.724 9.790 9.776
La 11.706 11.713 12.611
La 9.767 9.720 6.282
La 7.827 3.834 3.533
La 9.779 5.820 9.786
La 9.692 5.878 6.288
La 11.669 7.784 12.630
La 11.665 11.720 3.537
La 13.630 13.683 9.764
Ni 3.877 3.885 8.017
Ni 1.945 1.934 1.697
Ni 5.821 9.752 1.744
Ni 7.773 11.716 8.002
Ni 7.786 7.809 8.080
Ni 5.831 5.851 1.750
Ni 5.817 1.936 1.709
Ni 7.789 3.920 8.039
Ni 9.734 9.755 1.755
Ni 11.685 11.682 8.019
Ni 9.736 5.846 1.754
Ni 11.696 7.793 8.065
O 3.826 7.822 5.812
O 5.810 9.871 12.105
O 5.816 11.721 8.072
O 3.866 5.837 8.088
O 1.900 3.899 1.663
O 3.867 9.712 1.708
O 3.803 3.877 10.296
O 2.381 1.989 3.870
O 5.700 5.750 12.101
O 3.954 3.913 5.832
O 5.801 11.701 1.779
O 7.767 13.665 8.114
O 3.873 5.862 1.666
O 5.831 7.792 7.993
O 7.849 11.713 10.294
O 5.858 9.649 3.945
O 7.710 11.695 5.826
O 9.733 13.750 12.104
O 7.782 9.763 8.073
O 5.836 3.880 8.091
O 5.820 7.800 1.658
O 3.883 1.934 1.403
O 7.706 7.854 10.312
O 5.774 5.982 3.945
O 5.369 1.905 3.872
O 9.756 9.669 12.100
O 7.842 7.760 5.805
O 7.795 5.864 8.233
O 9.734 11.735 7.981
O 7.778 9.738 1.675
O 5.864 3.900 1.785
O 7.887 3.827 10.293
O 7.743 4.442 5.844
O 9.885 5.941 12.101
O 7.784 5.891 1.715
O 9.741 7.807 8.093
O 11.691 13.669 7.934
O 9.758 11.702 1.665
O 11.606 11.791 10.282
O 9.688 9.790 3.950
O 7.790 1.912 4.933
O 13.644 13.557 12.107
O 11.695 9.740 8.238
O 7.793 1.930 1.853
O 9.732 7.800 1.793
O 9.740 3.874 7.973
O 11.714 11.121 5.848
O 9.789 5.812 3.954
O 11.792 7.763 10.303
CELL_PARAMETERS angstrom
7.822 0.000 0.000
3.902 11.730 0.000
3.906 3.909 12.632

***

No. 4
! Sr3La9Mn11NiO36 | Materials Project | PBE+U | relaxed; values from VASP
! ΔH_f (0 K)   -2858 meV per atom
! Total DFT energy (no corrections)   -7.67 eV/atom
! E (MP2020)   -0.619 Ry/atom
&SYSTEM
  ibrav = 0, nat = 60, ntyp = 5
/
ATOMIC_SPECIES
Sr 87.62 Sr.upf
La 138.91 La.upf
Mn 54.94 Mn.upf
Ni 58.69 Ni.upf
O 16.00 O.upf
ATOMIC_POSITIONS angstrom
Sr 0.000 0.000 0.000
Sr -0.003 3.180 9.077
Sr 2.779 7.932 9.128
La 2.698 7.977 2.251
La 2.707 4.792 6.814
La 2.713 1.563 11.288
La 2.775 4.743 0.071
La 2.782 1.575 4.597
La 5.495 3.159 2.337
La 5.500 6.352 11.355
La 5.503 9.522 6.913
La 5.570 6.358 4.543
Mn 2.739 1.571 1.172
Mn 2.745 7.958 12.478
Mn 2.754 4.756 10.214
Mn 2.758 1.568 7.969
Mn 2.762 7.953 5.694
Mn 5.541 6.364 1.176
Mn 5.538 6.356 7.972
Mn 5.538 9.556 3.434
Mn 5.537 9.548 10.222
Mn 5.547 3.167 5.706
Mn 5.551 3.147 12.472
Ni 2.750 4.767 3.436
O 0.258 7.973 9.059
O 0.337 4.777 0.024
O 0.345 1.574 4.563
O 1.291 4.221 4.741
O 1.321 6.928 6.608
O 1.341 7.359 0.207
O 1.362 0.569 2.176
O 1.359 0.965 9.209
O 1.359 3.752 11.211
O 1.357 5.853 2.436
O 1.389 8.512 4.354
O 1.424 2.624 6.897
O 1.420 8.984 11.453
O 1.430 2.189 13.397
O 1.431 5.395 8.886
O 2.352 3.145 2.260
O 2.363 9.574 6.745
O 2.382 6.338 11.396
O 3.053 3.142 9.104
O 3.060 9.543 0.105
O 3.141 6.387 4.614
O 4.115 1.015 2.528
O 4.116 4.189 11.572
O 4.127 6.859 13.477
O 4.140 0.562 8.942
O 4.147 3.673 4.437
O 4.153 7.365 6.966
O 4.177 8.996 4.772
O 4.189 2.618 0.259
O 4.201 2.094 6.655
O 4.200 8.499 11.264
O 4.214 5.305 2.131
O 4.223 5.731 9.298
O 5.144 7.933 2.351
O 5.155 1.561 11.359
O 5.153 4.774 6.803
CELL_PARAMETERS angstrom
5.578 0.000 0.000
-0.007 9.584 0.000
-0.001 -0.018 13.567

***

No. 5
! LiV2F7 | Materials Project | PBE+U | relaxed; values from VASP
! Relative energy among the computed polymorphs   0.00 eV/f.u.
! ΔH_f (0 K)   -3203 meV per atom
! Total DFT energy (no corrections)   -5.89 eV/atom
! E (MP2020)   -0.481 Ry/atom
&SYSTEM
  ibrav = 0, nat = 20, ntyp = 3
/
ATOMIC_SPECIES
Li 6.94 Li.upf
V 50.94 V.upf
F 19.00 F.upf
ATOMIC_POSITIONS angstrom
Li 4.407 1.241 0.000
Li 4.262 -1.241 2.815
V 6.729 1.263 4.054
V 10.464 1.263 4.390
V 6.873 -1.263 1.239
V 10.609 -1.263 1.575
F 1.163 0.247 3.206
F 3.558 0.481 1.650
F 1.307 -0.247 0.391
F 3.414 -0.481 4.464
F 6.341 0.260 0.079
F 8.597 0.560 4.222
F 6.196 -0.260 2.894
F 11.141 0.260 2.735
F 8.741 -0.560 1.407
F 10.997 -0.260 5.550
F 13.924 0.481 1.165
F 16.031 0.247 5.238
F 13.779 -0.481 3.980
F 16.175 -0.247 2.423
CELL_PARAMETERS angstrom
8.813 -2.482 0.000
8.813 2.482 0.000
-0.289 0.000 5.629